Record 1
Density functional theory data (PBE-GGA) for a geometry-optimized CuCO3 structure.

Computed properties:
Magnetic moment in μB/atom: 0.067
Theoretical density in g/cm³: 3.318
Calculated total energy in eV per atom: -6.522

a = 8.105 Å, b = 3.258 Å, c = 8.106 Å
α = 90.00°, β = 119.92°, γ = 90.00°
Element x y z (fractional)
Cu 0.000 0.000 0.000
Cu 0.277 0.000 0.621
Cu 0.657 0.000 0.276
C 0.311 0.000 0.965
C 0.644 0.000 0.632
C 0.978 0.500 0.299
O 0.035 0.500 0.174
O 0.101 0.500 0.480
O 0.129 0.000 0.853
O 0.382 0.000 0.148
O 0.423 0.000 0.894
O 0.461 0.000 0.540
O 0.736 0.000 0.540
O 0.736 0.000 0.816
O 0.796 0.500 0.240

Record 2
Density functional theory data (PBE-GGA) for a geometry-optimized Cu2CO5 structure.

Computed properties:
Magnetic moment in μB/atom: 0.000
Theoretical density in g/cm³: 4.305
ΔE to the lowest computed polymorph in eV/atom: 0.000

a = 2.991 Å, b = 8.941 Å, c = 12.835 Å
α = 90.00°, β = 99.94°, γ = 90.00°
Element x y z (fractional)
Cu 0.018 0.010 0.279
Cu 0.018 0.490 0.779
Cu 0.405 0.241 0.121
Cu 0.405 0.259 0.621
Cu 0.595 0.741 0.379
Cu 0.595 0.759 0.879
Cu 0.982 0.510 0.221
Cu 0.982 0.990 0.721
C 0.368 0.217 0.871
C 0.368 0.283 0.371
C 0.632 0.717 0.629
C 0.632 0.783 0.129
O 0.068 0.616 0.347
O 0.068 0.884 0.847
O 0.110 0.626 0.897
O 0.110 0.874 0.397
O 0.288 0.155 0.952
O 0.288 0.345 0.452
O 0.395 0.143 0.783
O 0.395 0.357 0.283
O 0.444 0.138 0.366
O 0.444 0.362 0.866
O 0.556 0.638 0.134
O 0.556 0.862 0.634
O 0.605 0.643 0.717
O 0.605 0.857 0.217
O 0.712 0.655 0.548
O 0.712 0.845 0.048
O 0.890 0.126 0.603
O 0.890 0.374 0.103
O 0.932 0.116 0.153
O 0.932 0.384 0.653

Record 3
Density functional theory data (PBE-GGA) for a geometry-optimized CuCO3 structure.

Computed properties:
Magnetic moment in μB/atom: 0.200
Theoretical density in g/cm³: 2.936
Calculated total energy in eV per atom: -6.558

a = 6.218 Å, b = 6.804 Å, c = 8.256 Å
α = 90.00°, β = 126.83°, γ = 90.00°
Element x y z (fractional)
Cu 0.237 0.013 0.488
Cu 0.237 0.487 0.988
Cu 0.763 0.513 0.012
Cu 0.763 0.987 0.512
C 0.240 0.665 0.306
C 0.240 0.835 0.806
C 0.760 0.165 0.194
C 0.760 0.335 0.694
O 0.003 0.649 0.261
O 0.003 0.851 0.761
O 0.335 0.538 0.247
O 0.335 0.962 0.747
O 0.391 0.690 0.918
O 0.391 0.810 0.418
O 0.609 0.190 0.582
O 0.609 0.310 0.082
O 0.665 0.038 0.253
O 0.665 0.462 0.753
O 0.997 0.149 0.239
O 0.997 0.351 0.739

Record 4
Density functional theory data (PBE-GGA) for a geometry-optimized Cu2CO5 structure.

Computed properties:
Magnetic moment in μB/atom: 0.000
Theoretical density in g/cm³: 4.293
ΔE to the lowest computed polymorph in eV/atom: 0.008

a = 2.997 Å, b = 12.677 Å, c = 8.965 Å
α = 90.00°, β = 95.46°, γ = 90.00°
Element x y z (fractional)
Cu 0.103 0.222 0.497
Cu 0.103 0.278 0.997
Cu 0.388 0.618 0.734
Cu 0.388 0.882 0.234
Cu 0.612 0.118 0.766
Cu 0.612 0.382 0.266
Cu 0.897 0.722 0.003
Cu 0.897 0.778 0.503
C 0.462 0.631 0.274
C 0.462 0.869 0.774
C 0.538 0.131 0.226
C 0.538 0.369 0.726
O 0.086 0.104 0.632
O 0.086 0.396 0.132
O 0.132 0.152 0.892
O 0.132 0.348 0.392
O 0.291 0.631 0.135
O 0.291 0.869 0.635
O 0.362 0.050 0.165
O 0.362 0.450 0.665
O 0.457 0.722 0.347
O 0.457 0.778 0.847
O 0.543 0.222 0.153
O 0.543 0.278 0.653
O 0.638 0.550 0.335
O 0.638 0.950 0.835
O 0.709 0.131 0.365
O 0.709 0.369 0.865
O 0.868 0.652 0.608
O 0.868 0.848 0.108
O 0.914 0.604 0.868
O 0.914 0.896 0.368

Record 5
Density functional theory data (PBE-GGA) for a geometry-optimized CuC2O6 structure.

Computed properties:
Magnetic moment in μB/atom: 0.000
Theoretical density in g/cm³: 1.770
Calculated total energy in eV per atom: -6.501

a = 7.877 Å, b = 8.353 Å, c = 10.754 Å
α = 90.00°, β = 103.23°, γ = 90.00°
Element x y z (fractional)
Cu 0.000 0.000 0.000
Cu 0.000 0.500 0.500
Cu 0.500 0.000 0.500
Cu 0.500 0.500 0.000
C 0.091 0.175 0.321
C 0.091 0.325 0.821
C 0.329 0.641 0.449
C 0.329 0.859 0.949
C 0.671 0.141 0.051
C 0.671 0.359 0.551
C 0.909 0.675 0.179
C 0.909 0.825 0.679
O 0.082 0.096 0.229
O 0.082 0.404 0.729
O 0.097 0.245 0.912
O 0.097 0.255 0.412
O 0.211 0.620 0.497
O 0.211 0.880 0.997
O 0.346 0.545 0.100
O 0.346 0.955 0.600
O 0.446 0.659 0.400
O 0.446 0.841 0.900
O 0.478 0.098 0.345
O 0.478 0.402 0.845
O 0.522 0.598 0.155
O 0.522 0.902 0.655
O 0.554 0.159 0.100
O 0.554 0.341 0.600
O 0.654 0.045 0.400
O 0.654 0.455 0.900
O 0.789 0.120 0.003
O 0.789 0.380 0.503
O 0.903 0.745 0.588
O 0.903 0.755 0.088
O 0.918 0.596 0.271
O 0.918 0.904 0.771

Record 6
Density functional theory data (PBE-GGA) for a geometry-optimized CuCO3 structure.

Computed properties:
Magnetic moment in μB/atom: 0.005
Theoretical density in g/cm³: 2.894
Calculated total energy in eV per atom: -6.532

a = 2.865 Å, b = 5.386 Å, c = 9.287 Å
α = 90.00°, β = 98.38°, γ = 90.00°
Element x y z (fractional)
Cu 0.000 0.000 0.001
Cu 0.000 0.500 0.999
C 0.232 0.256 0.340
C 0.768 0.756 0.660
O 0.169 0.041 0.339
O 0.294 0.472 0.341
O 0.491 0.750 0.982
O 0.509 0.250 0.018
O 0.706 0.972 0.659
O 0.831 0.541 0.661

Record 7
Density functional theory data (PBE-GGA) for a geometry-optimized CuCO3 structure.

Computed properties:
Magnetic moment in μB/atom: 0.071
Theoretical density in g/cm³: 3.288
Calculated total energy in eV per atom: -6.532

a = 3.381 Å, b = 13.834 Å, c = 13.841 Å
α = 60.19°, β = 88.82°, γ = 88.79°
Element x y z (fractional)
Cu 0.000 0.000 0.000
Cu 0.002 0.362 0.007
Cu 0.052 0.031 0.675
Cu 0.071 0.669 0.674
Cu 0.083 0.693 0.982
Cu 0.124 0.357 0.647
Cu 0.130 0.688 0.349
Cu 0.987 0.036 0.314
Cu 0.991 0.334 0.346
C 0.041 0.910 0.558
C 0.049 0.908 0.222
C 0.051 0.242 0.554
C 0.053 0.243 0.884
C 0.054 0.574 0.888
C 0.056 0.570 0.223
C 0.525 0.247 0.218
C 0.557 0.903 0.887
C 0.572 0.572 0.560
O 0.005 0.243 0.977
O 0.017 0.818 0.556
O 0.021 0.004 0.465
O 0.029 0.547 0.992
O 0.032 0.821 0.209
O 0.039 0.150 0.883
O 0.043 0.007 0.136
O 0.064 0.498 0.861
O 0.068 0.678 0.812
O 0.070 0.894 0.321
O 0.071 0.180 0.661
O 0.078 0.569 0.317
O 0.087 0.909 0.650
O 0.106 0.662 0.131
O 0.107 0.348 0.509
O 0.115 0.335 0.792
O 0.499 0.276 0.293
O 0.532 0.321 0.112
O 0.539 0.141 0.247
O 0.550 0.798 0.917
O 0.551 0.933 0.964
O 0.556 0.648 0.455
O 0.568 0.980 0.783
O 0.571 0.604 0.635
O 0.597 0.468 0.589
O 0.974 0.198 0.493
O 0.984 0.479 0.223

Record 8
Density functional theory data (PBE-GGA) for a geometry-optimized Cu2PC2SO13 structure.

Computed properties:
Magnetic moment in μB/atom: 0.263
Theoretical density in g/cm³: 2.246
Calculated total energy in eV per atom: -5.739

a = 13.202 Å, b = 6.875 Å, c = 16.507 Å
α = 90.00°, β = 123.57°, γ = 90.00°
Element x y z (fractional)
Cu 0.003 0.051 0.253
Cu 0.003 0.449 0.753
Cu 0.196 0.197 0.753
Cu 0.196 0.303 0.253
Cu 0.804 0.697 0.747
Cu 0.804 0.803 0.247
Cu 0.997 0.551 0.247
Cu 0.997 0.949 0.747
P 0.050 0.702 0.912
P 0.050 0.798 0.412
P 0.950 0.202 0.588
P 0.950 0.298 0.088
C 0.137 0.728 0.037
C 0.137 0.772 0.537
C 0.188 0.733 0.624
C 0.188 0.767 0.124
C 0.812 0.233 0.876
C 0.812 0.267 0.376
C 0.863 0.228 0.463
C 0.863 0.272 0.963
S 0.252 0.701 0.746
S 0.252 0.799 0.246
S 0.748 0.201 0.754
S 0.748 0.299 0.254
O 0.077 0.197 0.783
O 0.077 0.303 0.283
O 0.082 0.609 0.379
O 0.082 0.891 0.879
O 0.084 0.194 0.618
O 0.084 0.306 0.118
O 0.089 0.512 0.885
O 0.089 0.988 0.385
O 0.193 0.525 0.752
O 0.193 0.975 0.252
O 0.209 0.628 0.273
O 0.209 0.872 0.773
O 0.325 0.152 0.563
O 0.325 0.348 0.063
O 0.361 0.211 0.788
O 0.361 0.289 0.288
O 0.365 0.213 0.867
O 0.365 0.287 0.367
O 0.367 0.117 0.514
O 0.367 0.383 0.014
O 0.381 0.687 0.792
O 0.381 0.813 0.292
O 0.412 0.565 0.548
O 0.412 0.935 0.048
O 0.434 0.533 0.630
O 0.434 0.967 0.130
O 0.566 0.033 0.870
O 0.566 0.467 0.370
O 0.588 0.065 0.952
O 0.588 0.435 0.452
O 0.619 0.187 0.708
O 0.619 0.313 0.208
O 0.633 0.617 0.986
O 0.633 0.883 0.486
O 0.635 0.713 0.633
O 0.635 0.787 0.133
O 0.639 0.711 0.712
O 0.639 0.789 0.212
O 0.675 0.652 0.937
O 0.675 0.848 0.437
O 0.791 0.128 0.227
O 0.791 0.372 0.727
O 0.807 0.025 0.748
O 0.807 0.475 0.248
O 0.911 0.012 0.615
O 0.911 0.488 0.115
O 0.916 0.694 0.882
O 0.916 0.806 0.382
O 0.918 0.109 0.121
O 0.918 0.391 0.621
O 0.923 0.697 0.717
O 0.923 0.803 0.217

Record 9
Density functional theory data (PBE-GGA) for a geometry-optimized Cu2Pb5CS3O21 structure.

Computed properties:
Magnetic moment in μB/atom: 0.125
Theoretical density in g/cm³: 5.545
Calculated total energy in eV per atom: -5.798

a = 20.784 Å, b = 7.591 Å, c = 6.101 Å
α = 90.00°, β = 90.00°, γ = 90.00°
Element x y z (fractional)
Cu 0.249 0.004 0.000
Cu 0.251 0.996 0.500
Cu 0.749 0.996 0.500
Cu 0.751 0.004 0.000
Pb 0.000 0.393 0.801
Pb 0.096 0.069 0.267
Pb 0.169 0.624 0.230
Pb 0.331 0.376 0.730
Pb 0.404 0.931 0.767
Pb 0.500 0.607 0.301
Pb 0.596 0.931 0.767
Pb 0.669 0.376 0.730
Pb 0.831 0.624 0.230
Pb 0.904 0.069 0.267
C 0.000 0.664 0.229
C 0.500 0.336 0.729
S 0.000 0.943 0.764
S 0.161 0.378 0.757
S 0.339 0.622 0.257
S 0.500 0.057 0.264
S 0.661 0.622 0.257
S 0.839 0.378 0.757
O 0.000 0.070 0.569
O 0.000 0.072 0.963
O 0.000 0.498 0.179
O 0.054 0.747 0.256
O 0.059 0.836 0.766
O 0.115 0.337 0.941
O 0.123 0.389 0.550
O 0.170 0.905 0.054
O 0.172 0.891 0.451
O 0.195 0.547 0.806
O 0.211 0.236 0.741
O 0.237 0.128 0.253
O 0.263 0.872 0.753
O 0.289 0.764 0.241
O 0.305 0.453 0.306
O 0.328 0.109 0.951
O 0.330 0.095 0.554
O 0.377 0.611 0.050
O 0.385 0.663 0.441
O 0.441 0.164 0.266
O 0.446 0.253 0.756
O 0.500 0.502 0.679
O 0.500 0.928 0.463
O 0.500 0.930 0.069
O 0.554 0.253 0.756
O 0.559 0.164 0.266
O 0.615 0.663 0.441
O 0.623 0.611 0.050
O 0.670 0.095 0.554
O 0.672 0.109 0.951
O 0.695 0.453 0.306
O 0.711 0.764 0.241
O 0.737 0.872 0.753
O 0.763 0.128 0.253
O 0.789 0.236 0.741
O 0.805 0.547 0.806
O 0.828 0.891 0.451
O 0.830 0.905 0.054
O 0.877 0.389 0.550
O 0.885 0.337 0.941
O 0.941 0.836 0.766
O 0.946 0.747 0.256